# AlReSi

Crystalline AlReSi at its relaxed geometry (PBE, Materials Project).

Cell and atoms, written as POSCAR:
```
AlReSi
1.0
-0.5782 -0.5660 4.5529
-4.1731 -0.8180 1.8165
2.7099 -1.5333 -3.4189
Al Re Si
1 1 1
direct
0.6669 0.6669 0.0000
0.9925 0.9925 0.0000
0.3406 0.3406 0.0000
```

Computed properties:
piezoelectric modulus e_max = 2.483 C/m2
energy relative to the elements = -1.376 eV/f.u.